# 1
Entry from the Materials Project database: Cd3Pt30O40 after structural relaxation (PBE-GGA).

Results
Formation energy ... -82.33 kJ per mole of atoms
Symmetry ... P2/m
MP2020-corrected energy ... -6.10 eV per atom

```
Cd3Pt30O40
1.0
8.113 0.000 0.000
0.000 5.715 0.000
-4.030 0.000 20.297
Cd Pt O
3 30 40
Cartesian
0.000 0.000 0.000
0.007 0.000 8.094
4.076 0.000 12.203
-2.015 1.471 10.149
-2.015 4.244 10.149
-3.011 0.000 15.281
-1.033 2.858 7.049
1.050 2.858 1.047
1.025 0.000 3.087
-1.977 1.449 18.242
-1.977 4.267 18.242
-0.953 0.000 13.223
-0.992 2.858 15.237
1.063 2.858 9.142
0.993 0.000 11.207
2.064 1.449 6.039
2.064 4.266 6.039
3.090 0.000 1.025
3.054 2.858 3.042
1.029 2.858 17.255
0.993 0.000 19.272
2.019 1.449 14.258
2.019 4.266 14.258
3.090 0.000 9.090
3.020 2.858 11.155
5.075 2.858 5.061
5.036 0.000 7.075
6.060 1.449 2.055
6.060 4.267 2.055
3.058 0.000 17.211
3.034 2.858 19.251
5.116 2.858 13.249
7.094 0.000 5.016
-2.067 1.380 12.198
-2.067 4.335 12.198
0.002 1.375 1.977
0.002 4.340 1.977
0.009 1.373 6.125
-2.002 1.444 16.243
-2.002 4.272 16.243
0.009 4.343 6.125
1.977 1.375 0.000
1.977 4.341 0.000
0.016 1.381 10.075
0.016 4.335 10.075
0.017 1.452 14.214
0.017 4.264 14.214
2.040 1.443 4.046
2.040 4.273 4.046
1.981 1.376 8.089
1.981 4.339 8.089
0.024 1.442 18.263
0.024 4.273 18.263
4.059 1.442 2.034
4.059 4.273 2.034
2.102 1.376 12.209
2.102 4.339 12.209
2.043 1.443 16.251
2.043 4.273 16.251
4.066 1.452 6.083
4.066 4.264 6.083
4.067 1.381 10.223
4.067 4.335 10.223
2.106 1.375 20.297
2.106 4.341 20.297
4.074 1.373 14.172
6.085 1.444 4.054
6.085 4.272 4.054
4.074 4.343 14.172
4.081 1.375 18.321
4.081 4.340 18.321
6.150 1.380 8.099
6.150 4.335 8.099
```


# 2
Entry from the Materials Project database: NdP2H2O8 after structural relaxation (PBE-GGA).

Results
Formation energy ... -164.81 kJ per mole of atoms
Symmetry ... P2_12_12_1
MP2020-corrected energy ... -6.47 eV per atom

```
NdP2H2O8
1.0
6.766 0.000 0.000
0.000 7.122 0.000
0.000 0.000 16.776
Nd P H O
4 8 8 32
Cartesian
0.939 0.530 3.836
2.444 6.592 12.224
4.322 3.031 12.940
5.827 4.091 4.552
0.761 2.002 7.085
1.167 2.923 12.403
2.216 4.199 4.015
2.622 5.120 15.473
4.144 1.559 9.691
4.550 0.638 4.373
5.599 6.483 12.761
6.005 5.563 1.303
0.814 2.669 11.062
1.436 4.373 15.487
1.947 2.749 7.099
2.569 4.452 2.674
4.197 0.891 5.714
4.819 6.310 1.289
5.330 0.812 9.677
5.952 6.230 14.102
0.117 6.592 11.950
0.385 6.470 1.797
0.405 1.595 8.537
0.452 1.513 16.260
0.699 1.936 0.606
0.983 0.783 6.186
1.264 5.343 4.480
1.314 2.933 4.036
2.069 4.189 12.424
2.119 1.779 12.868
2.399 6.339 14.574
2.684 5.186 8.994
2.931 5.609 7.872
2.978 5.527 0.149
2.997 0.652 10.185
3.266 0.529 3.562
3.500 4.090 4.826
3.768 4.213 14.979
3.788 1.966 8.239
3.835 2.048 0.516
4.082 1.625 16.170
4.366 2.778 10.590
4.647 5.340 12.296
4.697 0.628 12.740
5.452 6.494 4.352
5.502 1.782 3.908
5.782 4.344 2.202
6.067 5.497 7.782
6.314 5.073 8.904
6.360 5.156 16.627
6.380 2.909 6.591
6.649 3.032 13.214
```


# 3
Entry from the Materials Project database: K2PtC2Cl2O5 after structural relaxation (PBE-GGA).

Results
Formation energy ... -117.85 kJ per mole of atoms
Symmetry ... P-1
MP2020-corrected energy ... -5.82 eV per atom

```
K2PtC2Cl2O5
1.0
7.312 0.000 0.000
3.626 7.019 0.000
3.217 0.026 10.072
K Pt C Cl O
4 2 4 4 10
Cartesian
2.615 1.714 4.280
2.764 1.786 0.000
11.391 5.260 10.072
11.540 5.332 5.792
7.749 5.316 9.648
6.406 1.729 0.424
3.985 4.648 2.281
5.063 5.764 2.316
9.091 1.282 7.756
10.169 2.398 7.791
6.472 4.309 8.015
9.028 6.436 8.111
5.126 0.609 1.961
7.683 2.736 2.057
3.601 4.116 3.333
3.531 4.332 1.095
5.422 6.253 3.397
5.542 6.129 1.154
8.588 6.493 5.064
5.567 0.553 5.008
8.612 0.917 8.918
8.733 0.792 6.675
10.624 2.714 8.977
10.554 2.930 6.739
```


# 4
Entry from the Materials Project database: MgSn4Ru after structural relaxation (PBE-GGA).

Results
Formation energy ... -19.95 kJ per mole of atoms
Symmetry ... I4/mcm

```
MgSn4Ru
1.0
-3.422 3.422 5.694
3.422 -3.422 5.694
3.422 3.422 -5.694
Mg Sn Ru
2 8 2
Cartesian
0.000 0.000 0.000
0.000 0.000 5.694
4.483 1.061 -1.593
1.061 2.360 -1.593
4.483 1.061 1.593
1.061 2.360 1.593
2.360 1.061 4.101
-1.061 2.360 4.101
2.360 1.061 7.287
-1.061 2.360 7.287
0.000 0.000 2.847
0.000 0.000 8.541
```


# 5
Entry from the Materials Project database: KNaLaNbO5 after structural relaxation (PBE-GGA).

Results
Formation energy ... -293.77 kJ per mole of atoms
Symmetry ... P4/nmm
MP2020-corrected energy ... -7.73 eV per atom

```
KNaLaNbO5
1.0
5.846 0.000 0.000
0.000 5.846 0.000
0.000 0.000 8.413
K Na La Nb O
2 2 2 2 10
Cartesian
1.461 4.384 0.000
4.384 1.461 0.000
1.461 1.461 2.032
4.384 4.384 6.381
1.461 4.384 4.206
4.384 1.461 4.206
1.461 1.461 6.265
4.384 4.384 2.148
0.121 0.121 5.661
0.121 2.802 5.661
1.461 1.461 8.133
2.802 0.121 5.661
2.802 2.802 5.661
3.044 3.044 2.752
3.044 5.725 2.752
4.384 4.384 0.280
5.725 3.044 2.752
5.725 5.725 2.752
```


# 6
Entry from the Materials Project database: SmDyRh2 after structural relaxation (PBE-GGA).

Results
Formation energy ... -76.46 kJ per mole of atoms
Symmetry ... Fm-3m

```
SmDyRh2
1.0
0.000 3.470 3.470
3.470 0.000 3.470
3.470 3.470 0.000
Sm Dy Rh
1 1 2
Cartesian
0.000 0.000 0.000
3.470 3.470 3.470
1.735 1.735 1.735
5.204 5.204 5.204
```


# 7
Entry from the Materials Project database: RbBiC4S4N4 after structural relaxation (PBE-GGA).

Results
Formation energy ... -19.12 kJ per mole of atoms
Symmetry ... P2_12_12
MP2020-corrected energy ... -6.75 eV per atom

```
RbBiC4S4N4
1.0
7.735 0.000 0.000
0.000 11.299 0.000
0.000 0.000 6.549
Rb Bi C S N
2 2 8 8 8
Cartesian
0.000 0.000 1.205
3.868 5.650 5.344
0.000 5.650 2.787
3.868 0.000 3.762
0.268 4.165 6.137
1.593 8.566 4.037
2.275 2.916 2.512
3.600 9.815 0.412
4.136 1.484 0.412
5.461 8.383 2.512
6.143 2.733 4.037
7.467 7.134 6.137
0.802 7.479 0.796
1.268 10.130 4.394
2.599 4.480 2.155
3.066 1.830 5.753
4.670 9.469 5.753
5.136 6.819 2.155
6.467 1.169 4.394
6.934 3.820 0.796
1.002 4.394 5.243
1.784 7.424 3.784
2.084 1.775 2.766
2.865 10.044 1.306
4.870 1.256 1.306
5.652 9.524 2.766
5.951 3.875 3.784
6.733 6.905 5.243
```


# 8
Entry from the Materials Project database: PrPdPb after structural relaxation (PBE-GGA).

Results
Formation energy ... -69.53 kJ per mole of atoms
Symmetry ... P-62m

```
PrPdPb
1.0
7.908 0.000 0.000
-3.954 6.848 0.000
0.000 0.000 4.156
Pr Pd Pb
3 3 3
Cartesian
-1.622 2.809 0.000
3.243 0.000 0.000
2.332 4.040 0.000
0.000 0.000 0.000
0.000 4.566 2.078
3.954 2.283 2.078
-2.943 5.097 2.078
1.011 1.751 2.078
5.885 0.000 2.078
```


# 9
Entry from the Materials Project database: U2ClO11 after structural relaxation (PBE-GGA).

Results
Formation energy ... -123.26 kJ per mole of atoms
Symmetry ... P2_1/c
MP2020-corrected energy ... -6.91 eV per atom

```
U2ClO11
1.0
9.898 0.000 0.000
0.000 10.336 0.000
-7.244 0.000 10.691
U Cl O
8 4 44
Cartesian
-2.474 0.608 3.942
-6.096 4.560 9.288
2.997 6.490 1.257
-0.625 9.015 6.602
3.278 1.321 4.089
-0.343 3.847 9.434
8.749 5.776 1.403
5.127 9.728 6.749
0.653 7.210 2.879
-2.969 8.295 8.224
5.622 2.042 2.467
2.000 3.126 7.812
-1.288 1.130 2.581
-4.910 4.038 7.926
0.325 0.200 0.471
-3.297 4.968 5.817
-4.330 0.924 7.649
-0.708 4.244 2.304
-2.130 2.066 4.998
-5.752 3.103 10.344
0.916 5.759 0.509
-2.706 9.745 5.855
-1.131 7.410 5.893
2.491 8.095 0.547
-4.044 5.628 10.254
-0.423 9.877 4.909
-0.758 0.290 7.462
2.864 4.879 2.117
-2.798 0.305 10.545
0.824 4.863 5.200
2.590 2.160 2.609
-1.032 3.008 7.954
1.357 1.988 4.639
-2.265 3.180 9.985
4.919 7.157 0.706
1.297 8.348 6.052
3.685 7.328 2.737
0.063 8.177 8.082
1.830 5.473 5.491
5.452 10.031 0.146
-0.210 5.458 8.574
3.412 10.047 3.229
3.076 0.460 5.782
6.698 4.708 0.437
0.163 2.241 10.144
3.785 2.927 4.798
5.360 0.591 4.836
1.738 4.577 10.182
8.405 7.234 0.347
4.784 8.271 5.693
3.362 6.092 8.387
6.984 9.412 3.042
5.950 5.368 4.874
2.328 10.137 10.220
7.564 6.299 2.765
3.942 9.206 8.110
```


# 10
Entry from the Materials Project database: CaCl2 after structural relaxation (PBE-GGA).

Results
Formation energy ... -270.49 kJ per mole of atoms
Symmetry ... Pnnm
MP2020-corrected energy ... -4.70 eV per atom

```
CaCl2
1.0
6.349 0.000 0.000
0.000 6.506 0.000
0.000 0.000 4.208
Ca Cl
2 4
Cartesian
0.000 0.000 0.000
3.175 3.253 2.104
1.384 1.139 2.104
1.791 4.392 0.000
4.558 2.113 0.000
4.966 5.366 2.104
```


# 11
Entry from the Materials Project database: KNa7Al8Si8O32 after structural relaxation (PBE-GGA).

Results
Formation energy ... -303.59 kJ per mole of atoms
Symmetry ... P1
MP2020-corrected energy ... -7.47 eV per atom

```
KNa7Al8Si8O32
1.0
8.501 0.000 0.000
0.011 10.089 0.000
0.004 5.035 8.755
K Na Al Si O
1 7 8 8 32
Cartesian
0.000 0.000 0.000
4.169 2.844 4.827
4.181 9.518 8.731
4.181 7.831 3.919
4.229 5.038 8.738
8.422 7.323 4.873
8.424 2.276 3.881
8.434 10.628 8.730
2.563 5.025 2.942
2.615 12.247 7.930
2.612 10.818 2.898
2.627 7.153 6.664
6.814 10.050 5.825
6.851 2.880 0.814
6.861 7.933 2.086
6.876 4.292 5.860
1.515 4.305 5.849
1.536 2.886 0.834
1.539 7.920 2.073
1.659 10.046 5.826
5.768 7.169 6.670
5.786 12.246 7.917
5.791 10.807 2.909
5.904 5.021 2.942
0.014 3.680 6.072
0.013 3.079 0.258
0.019 8.337 2.534
0.045 9.910 5.846
1.472 5.897 6.243
1.487 7.492 0.497
1.487 1.737 1.993
1.953 4.075 4.294
2.060 6.704 3.030
2.075 4.319 1.411
2.121 10.982 4.567
2.156 10.707 7.236
2.306 8.548 5.657
2.563 7.434 8.399
2.570 9.189 2.239
2.591 13.634 6.843
4.264 6.658 6.263
4.268 12.066 8.512
4.269 11.408 2.782
4.290 4.968 3.070
5.731 13.415 6.769
5.740 7.609 8.243
5.741 9.231 2.470
6.197 8.408 5.694
6.304 10.813 7.322
6.320 11.009 4.442
6.358 4.415 1.497
6.399 6.576 3.083
6.547 4.119 4.150
6.810 1.520 1.921
6.819 7.665 0.351
6.836 5.941 6.470
```